BaTh2S5: relaxed, PBE.

Geometry as CIF:
```
data_BaTh2S5
_chemical_formula_sum 'Ba4 Th8 S20'
_cell_length_a 7.695
_cell_length_b 8.674
_cell_length_c 12.168
_cell_angle_alpha 89.70
_cell_angle_beta 90.00
_cell_angle_gamma 90.00
_space_group_name_H-M_alt 'P 1'
_space_group_IT_number 1
_space_group_name_Hall 'P 1'
loop_
_atom_site_label
_atom_site_fract_x
_atom_site_fract_y
_atom_site_fract_z
Ba1 0.051 0.491 0.331
S1 0.335 0.215 0.312
S2 0.835 0.785 0.188
Ba2 0.551 0.509 0.169
S3 0.452 0.790 0.002
S4 0.191 0.774 0.784
Ba3 0.449 0.491 0.831
S5 0.839 0.959 0.900
S6 0.661 0.959 0.400
S7 0.048 0.790 0.502
S8 0.809 0.226 0.216
S9 0.325 0.463 0.577
S10 0.161 0.041 0.100
S11 0.548 0.210 0.998
S12 0.309 0.774 0.284
Th1 0.431 0.753 0.509
Th2 0.569 0.247 0.491
S13 0.952 0.210 0.498
Th3 0.479 0.998 0.821
Th4 0.979 0.002 0.679
S14 0.665 0.785 0.688
S15 0.339 0.041 0.600
S16 0.691 0.226 0.716
S17 0.175 0.463 0.077
S18 0.165 0.215 0.812
S19 0.825 0.537 0.923
Th5 0.069 0.753 0.009
Th6 0.521 0.002 0.179
Ba4 0.949 0.509 0.669
S20 0.675 0.537 0.423
Th7 0.021 0.998 0.321
Th8 0.931 0.247 0.991
```

Output
- formation energy (meV per atom) = -2383.8
- V (Å³ per cell) = 812.2
- final energy (eV/atom) = -6.748

***

BaTiS3: relaxed, PBE.

Geometry as CIF:
```
data_BaTiS3
_chemical_formula_sum 'Ba2 Ti2 S6'
_cell_length_a 6.813
_cell_length_b 6.813
_cell_length_c 5.837
_cell_angle_alpha 90.00
_cell_angle_beta 90.00
_cell_angle_gamma 120.00
_space_group_name_H-M_alt 'P 1'
_space_group_IT_number 1
_space_group_name_Hall 'P 1'
loop_
_atom_site_label
_atom_site_fract_x
_atom_site_fract_y
_atom_site_fract_z
S1 0.835 0.669 0.750
S2 0.669 0.835 0.250
Ti1 0.000 0.000 0.500
S3 0.165 0.331 0.250
Ti2 0.000 0.000 0.000
S4 0.835 0.165 0.750
Ba1 0.333 0.667 0.750
S5 0.165 0.835 0.250
Ba2 0.667 0.333 0.250
S6 0.331 0.165 0.750
```

Output
- formation energy (meV per atom) = -1946.0
- V (Å³ per cell) = 234.6
- final energy (eV/atom) = -6.089

***

Ba2TiVS6: relaxed, PBE.

Geometry as CIF:
```
data_Ba2TiVS6
_chemical_formula_sum 'Ba2 Ti1 V1 S6'
_cell_length_a 6.812
_cell_length_b 6.812
_cell_length_c 5.664
_cell_angle_alpha 90.00
_cell_angle_beta 90.00
_cell_angle_gamma 120.00
_space_group_name_H-M_alt 'P 1'
_space_group_IT_number 1
_space_group_name_Hall 'P 1'
loop_
_atom_site_label
_atom_site_fract_x
_atom_site_fract_y
_atom_site_fract_z
S1 0.835 0.165 0.757
S2 0.165 0.835 0.243
Ti1 0.000 0.000 0.500
S3 0.835 0.670 0.757
Ba1 0.667 0.333 0.248
S4 0.165 0.330 0.243
S5 0.670 0.835 0.243
Ba2 0.333 0.667 0.752
S6 0.330 0.165 0.757
V1 0.000 0.000 0.000
```

Output
- formation energy (meV per atom) = -1802.0
- V (Å³ per cell) = 227.6
- final energy (eV/atom) = -6.064

***

BaTm2S4: relaxed, PBE.

Geometry as CIF:
```
data_BaTm2S4
_chemical_formula_sum 'Ba4 Tm8 S16'
_cell_length_a 4.007
_cell_length_b 12.260
_cell_length_c 14.404
_cell_angle_alpha 90.00
_cell_angle_beta 90.00
_cell_angle_gamma 90.00
_space_group_name_H-M_alt 'P 1'
_space_group_IT_number 1
_space_group_name_Hall 'P 1'
loop_
_atom_site_label
_atom_site_fract_x
_atom_site_fract_y
_atom_site_fract_z
S1 0.750 0.580 0.424
S2 0.750 0.080 0.076
S3 0.250 0.023 0.283
Tm1 0.250 0.422 0.899
S4 0.250 0.707 0.660
Tm2 0.250 0.934 0.109
Tm3 0.750 0.066 0.891
S5 0.250 0.122 0.523
S6 0.250 0.420 0.576
S7 0.250 0.207 0.840
Ba1 0.750 0.743 0.839
S8 0.750 0.793 0.160
S9 0.250 0.622 0.977
S10 0.750 0.378 0.023
Tm4 0.750 0.578 0.101
S11 0.750 0.977 0.717
Tm5 0.750 0.078 0.399
Tm6 0.250 0.922 0.601
S12 0.250 0.920 0.924
Tm7 0.250 0.434 0.391
Ba2 0.250 0.257 0.161
S13 0.750 0.477 0.783
Ba3 0.250 0.757 0.339
Tm8 0.750 0.566 0.609
Ba4 0.750 0.243 0.661
S14 0.250 0.523 0.217
S15 0.750 0.293 0.340
S16 0.750 0.878 0.477
```

Output
- formation energy (meV per atom) = -2424.3
- V (Å³ per cell) = 707.7
- final energy (eV/atom) = -6.054

***

Ba2US6: relaxed, PBE.

Geometry as CIF:
```
data_Ba2US6
_chemical_formula_sum 'Ba4 U2 S12'
_cell_length_a 5.468
_cell_length_b 5.468
_cell_length_c 16.061
_cell_angle_alpha 90.00
_cell_angle_beta 90.00
_cell_angle_gamma 90.00
_space_group_name_H-M_alt 'P 1'
_space_group_IT_number 1
_space_group_name_Hall 'P 1'
loop_
_atom_site_label
_atom_site_fract_x
_atom_site_fract_y
_atom_site_fract_z
Ba1 0.000 0.000 0.136
U1 0.000 0.000 0.500
S1 0.500 0.691 0.836
S2 0.500 0.309 0.836
Ba2 0.500 0.500 0.364
Ba3 0.500 0.500 0.636
S3 0.000 0.500 0.980
S4 0.691 0.500 0.164
U2 0.500 0.500 0.000
S5 0.309 0.500 0.164
S6 0.500 0.000 0.520
S7 0.809 0.000 0.336
S8 0.000 0.809 0.664
S9 0.191 0.000 0.336
Ba4 0.000 0.000 0.864
S10 0.000 0.500 0.480
S11 0.500 0.000 0.020
S12 0.000 0.191 0.664
```

Output
- formation energy (meV per atom) = -1781.8
- V (Å³ per cell) = 480.3
- final energy (eV/atom) = -5.885

***

BaUS3: relaxed, PBE.

Geometry as CIF:
```
data_BaUS3
_chemical_formula_sum 'Ba4 U4 S12'
_cell_length_a 7.262
_cell_length_b 7.493
_cell_length_c 10.396
_cell_angle_alpha 90.00
_cell_angle_beta 90.00
_cell_angle_gamma 90.00
_space_group_name_H-M_alt 'P 1'
_space_group_IT_number 1
_space_group_name_Hall 'P 1'
loop_
_atom_site_label
_atom_site_fract_x
_atom_site_fract_y
_atom_site_fract_z
S1 0.293 0.707 0.544
S2 0.793 0.793 0.044
U1 0.000 0.500 0.000
Ba1 0.515 0.557 0.250
S3 0.082 0.479 0.250
S4 0.707 0.293 0.456
S5 0.707 0.293 0.044
S6 0.918 0.521 0.750
S7 0.293 0.707 0.956
Ba2 0.485 0.443 0.750
S8 0.793 0.793 0.456
S9 0.582 0.021 0.750
U2 0.500 0.000 0.500
U3 0.000 0.500 0.500
S10 0.418 0.979 0.250
S11 0.207 0.207 0.956
S12 0.207 0.207 0.544
Ba3 0.015 0.943 0.750
U4 0.500 0.000 0.000
Ba4 0.985 0.057 0.250
```

Output
- formation energy (meV per atom) = -2022.6
- V (Å³ per cell) = 565.7
- final energy (eV/atom) = -6.845

***

BaVS3: relaxed, PBE.

Geometry as CIF:
```
data_BaVS3
_chemical_formula_sum 'Ba2 V2 S6'
_cell_length_a 6.747
_cell_length_b 6.747
_cell_length_c 5.729
_cell_angle_alpha 90.00
_cell_angle_beta 90.00
_cell_angle_gamma 120.00
_space_group_name_H-M_alt 'P 1'
_space_group_IT_number 1
_space_group_name_Hall 'P 1'
loop_
_atom_site_label
_atom_site_fract_x
_atom_site_fract_y
_atom_site_fract_z
Ba1 0.667 0.333 0.250
S1 0.837 0.675 0.750
S2 0.675 0.837 0.250
S3 0.163 0.837 0.250
S4 0.163 0.325 0.250
S5 0.837 0.163 0.750
S6 0.325 0.163 0.750
Ba2 0.333 0.667 0.750
V1 0.000 0.000 0.000
V2 0.000 0.000 0.500
```

Output
- formation energy (meV per atom) = -1655.9
- V (Å³ per cell) = 225.8
- final energy (eV/atom) = -6.037

***

BaVS3: relaxed, PBE.

Geometry as CIF:
```
data_BaVS3
_chemical_formula_sum 'Ba4 V4 S12'
_cell_length_a 6.837
_cell_length_b 8.796
_cell_length_c 8.814
_cell_angle_alpha 79.64
_cell_angle_beta 67.18
_cell_angle_gamma 67.13
_space_group_name_H-M_alt 'P 1'
_space_group_IT_number 1
_space_group_name_Hall 'P 1'
loop_
_atom_site_label
_atom_site_fract_x
_atom_site_fract_y
_atom_site_fract_z
S1 0.840 0.291 0.552
S2 0.319 0.791 0.053
V1 0.974 0.785 0.268
S3 0.167 0.462 0.204
Ba1 0.336 0.540 0.788
S4 0.838 0.791 0.053
S5 0.828 0.056 0.288
V2 0.019 0.984 0.978
V3 0.973 0.275 0.778
V4 0.022 0.483 0.473
S6 0.317 0.291 0.552
Ba2 0.657 0.467 0.218
Ba3 0.333 0.038 0.296
Ba4 0.663 0.959 0.715
S7 0.674 0.201 0.963
S8 0.166 0.961 0.707
S9 0.153 0.705 0.464
S10 0.162 0.201 0.963
S11 0.677 0.705 0.464
S12 0.826 0.546 0.802
```

Output
- formation energy (meV per atom) = -1668.8
- V (Å³ per cell) = 449.9
- final energy (eV/atom) = -6.049

***

BaVS3: relaxed, PBE.

Geometry as CIF:
```
data_BaVS3
_chemical_formula_sum 'Ba2 V2 S6'
_cell_length_a 6.802
_cell_length_b 6.802
_cell_length_c 5.632
_cell_angle_alpha 90.00
_cell_angle_beta 90.00
_cell_angle_gamma 120.49
_space_group_name_H-M_alt 'P 1'
_space_group_IT_number 1
_space_group_name_Hall 'P 1'
loop_
_atom_site_label
_atom_site_fract_x
_atom_site_fract_y
_atom_site_fract_z
S1 0.834 0.671 0.239
S2 0.161 0.839 0.750
V1 0.039 0.039 0.000
S3 0.839 0.161 0.250
V2 0.961 0.961 0.500
S4 0.671 0.834 0.761
Ba1 0.669 0.331 0.750
S5 0.166 0.329 0.739
S6 0.329 0.166 0.261
Ba2 0.331 0.669 0.250
```

Output
- formation energy (meV per atom) = -1666.3
- V (Å³ per cell) = 224.5
- final energy (eV/atom) = -6.047

***

BaVS3: relaxed, PBE.

Geometry as CIF:
```
data_BaVS3
_chemical_formula_sum 'Ba2 V2 S6'
_cell_length_a 6.756
_cell_length_b 6.756
_cell_length_c 5.656
_cell_angle_alpha 90.00
_cell_angle_beta 90.00
_cell_angle_gamma 119.25
_space_group_name_H-M_alt 'P 1'
_space_group_IT_number 1
_space_group_name_Hall 'P 1'
loop_
_atom_site_label
_atom_site_fract_x
_atom_site_fract_y
_atom_site_fract_z
S1 0.680 0.840 0.258
V1 0.976 0.024 0.986
Ba1 0.664 0.336 0.249
V2 0.024 0.976 0.486
S2 0.171 0.829 0.241
S3 0.160 0.320 0.258
S4 0.840 0.680 0.758
S5 0.320 0.160 0.758
Ba2 0.336 0.664 0.749
S6 0.829 0.171 0.741
```

Output
- formation energy (meV per atom) = -1670.1
- V (Å³ per cell) = 225.3
- final energy (eV/atom) = -6.051

***

BaV10S16: relaxed, PBE.

Geometry as CIF:
```
data_BaV10S16
_chemical_formula_sum 'Ba1 V10 S16'
_cell_length_a 6.508
_cell_length_b 8.947
_cell_length_c 9.068
_cell_angle_alpha 72.91
_cell_angle_beta 68.99
_cell_angle_gamma 79.53
_space_group_name_H-M_alt 'P 1'
_space_group_IT_number 1
_space_group_name_Hall 'P 1'
loop_
_atom_site_label
_atom_site_fract_x
_atom_site_fract_y
_atom_site_fract_z
S1 0.633 0.831 0.314
S2 0.041 0.518 0.659
V1 0.176 0.577 0.859
V2 0.677 0.578 0.858
S3 0.367 0.169 0.686
Ba1 0.000 0.000 0.000
S4 0.669 0.321 0.998
V3 0.172 0.294 0.509
S5 0.331 0.679 0.002
V4 0.328 0.703 0.492
S6 0.862 0.169 0.686
V5 0.000 0.000 0.500
S7 0.172 0.321 0.998
S8 0.828 0.679 0.002
V6 0.323 0.422 0.142
S9 0.959 0.482 0.341
S10 0.301 0.150 0.322
S11 0.699 0.850 0.678
S12 0.138 0.831 0.314
V7 0.828 0.706 0.491
S13 0.459 0.482 0.341
S14 0.801 0.150 0.322
V8 0.672 0.297 0.508
V9 0.824 0.423 0.141
S15 0.541 0.518 0.659
V10 0.500 0.000 0.500
S16 0.199 0.850 0.678
```

Output
- formation energy (meV per atom) = -1353.0
- V (Å³ per cell) = 469.4
- final energy (eV/atom) = -6.942

***

Ba2ZnS3: relaxed, PBE.

Geometry as CIF:
```
data_Ba2ZnS3
_chemical_formula_sum 'Ba8 Zn4 S12'
_cell_length_a 4.259
_cell_length_b 12.171
_cell_length_c 12.752
_cell_angle_alpha 90.00
_cell_angle_beta 90.00
_cell_angle_gamma 90.00
_space_group_name_H-M_alt 'P 1'
_space_group_IT_number 1
_space_group_name_Hall 'P 1'
loop_
_atom_site_label
_atom_site_fract_x
_atom_site_fract_y
_atom_site_fract_z
S1 0.250 0.365 0.446
Zn1 0.250 0.245 0.303
Ba1 0.750 0.174 0.517
S2 0.750 0.775 0.293
S3 0.750 0.940 0.640
S4 0.750 0.635 0.554
Ba2 0.250 0.326 0.017
S5 0.750 0.440 0.860
Ba3 0.250 0.990 0.825
Ba4 0.750 0.510 0.325
Ba5 0.750 0.674 0.983
Ba6 0.250 0.826 0.483
Zn2 0.250 0.745 0.197
S6 0.250 0.060 0.360
S7 0.250 0.725 0.793
S8 0.250 0.865 0.054
Zn3 0.750 0.755 0.697
Ba7 0.250 0.490 0.675
Zn4 0.750 0.255 0.803
S9 0.250 0.560 0.140
S10 0.750 0.135 0.946
Ba8 0.750 0.010 0.175
S11 0.250 0.225 0.707
S12 0.750 0.275 0.207
```

Output
- E above lowest polymorph (meV per atom) = 0
- formation energy (meV per atom) = -1912.7
- V (Å³ per cell) = 660.9
- final energy (eV/atom) = -4.579

***

Ba2ZnS3: relaxed, PBE.

Geometry as CIF:
```
data_Ba2ZnS3
_chemical_formula_sum 'Ba8 Zn4 S12'
_cell_length_a 4.300
_cell_length_b 8.910
_cell_length_c 17.204
_cell_angle_alpha 90.00
_cell_angle_beta 90.00
_cell_angle_gamma 90.00
_space_group_name_H-M_alt 'P 1'
_space_group_IT_number 1
_space_group_name_Hall 'P 1'
loop_
_atom_site_label
_atom_site_fract_x
_atom_site_fract_y
_atom_site_fract_z
S1 0.750 0.007 0.398
S2 0.250 0.370 0.428
S3 0.750 0.507 0.102
Ba1 0.250 0.747 0.456
S4 0.250 0.993 0.602
Zn1 0.750 0.365 0.865
S5 0.250 0.493 0.898
S6 0.750 0.130 0.928
S7 0.750 0.630 0.572
S8 0.250 0.870 0.072
S9 0.250 0.680 0.271
Ba2 0.250 0.581 0.713
S10 0.250 0.180 0.229
Ba3 0.250 0.081 0.787
Ba4 0.250 0.247 0.044
Ba5 0.750 0.419 0.287
Ba6 0.750 0.753 0.956
Zn2 0.250 0.135 0.365
Ba7 0.750 0.919 0.213
Zn3 0.250 0.635 0.135
S11 0.750 0.320 0.729
Ba8 0.750 0.253 0.544
Zn4 0.750 0.865 0.635
S12 0.750 0.820 0.771
```

Output
- E above lowest polymorph (meV per atom) = 2
- formation energy (meV per atom) = -1910.2
- V (Å³ per cell) = 659.1
- final energy (eV/atom) = -4.577

***

Ba3Zr2S7: relaxed, PBE.

Geometry as CIF:
```
data_Ba3Zr2S7
_chemical_formula_sum 'Ba3 Zr2 S7'
_cell_length_a 5.041
_cell_length_b 5.041
_cell_length_c 13.407
_cell_angle_alpha 100.84
_cell_angle_beta 100.84
_cell_angle_gamma 90.00
_space_group_name_H-M_alt 'P 1'
_space_group_IT_number 1
_space_group_name_Hall 'P 1'
loop_
_atom_site_label
_atom_site_fract_x
_atom_site_fract_y
_atom_site_fract_z
Ba1 0.000 0.000 0.000
Zr1 0.400 0.400 0.799
Ba2 0.819 0.819 0.638
S1 0.302 0.302 0.604
Ba3 0.181 0.181 0.362
S2 0.404 0.904 0.808
S3 0.596 0.096 0.192
S4 0.500 0.500 0.000
S5 0.096 0.596 0.192
S6 0.904 0.404 0.808
S7 0.698 0.698 0.396
Zr2 0.600 0.600 0.201
```

Output
- E above lowest polymorph (meV per atom) = 10
- formation energy (meV per atom) = -2140.2
- V (Å³ per cell) = 328.4
- final energy (eV/atom) = -6.164

***

BaZrS3: relaxed, PBE.

Geometry as CIF:
```
data_BaZrS3
_chemical_formula_sum 'Ba4 Zr4 S12'
_cell_length_a 7.088
_cell_length_b 7.155
_cell_length_c 10.077
_cell_angle_alpha 90.00
_cell_angle_beta 90.00
_cell_angle_gamma 90.00
_space_group_name_H-M_alt 'P 1'
_space_group_IT_number 1
_space_group_name_Hall 'P 1'
loop_
_atom_site_label
_atom_site_fract_x
_atom_site_fract_y
_atom_site_fract_z
Ba1 0.491 0.543 0.250
S1 0.939 0.494 0.250
Ba2 0.009 0.043 0.250
S2 0.287 0.287 0.468
Ba3 0.509 0.457 0.750
Zr1 0.500 0.000 0.000
S3 0.061 0.506 0.750
S4 0.287 0.287 0.032
Zr2 0.000 0.500 0.500
S5 0.713 0.713 0.968
S6 0.561 0.994 0.250
S7 0.787 0.213 0.532
S8 0.213 0.787 0.032
S9 0.713 0.713 0.532
Zr3 0.500 0.000 0.500
S10 0.439 0.006 0.750
S11 0.213 0.787 0.468
S12 0.787 0.213 0.968
Ba4 0.991 0.957 0.750
Zr4 0.000 0.500 0.000
```

Output
- formation energy (meV per atom) = -2108.3
- V (Å³ per cell) = 511.1
- final energy (eV/atom) = -6.382

***

Ba3Zr2S7: relaxed, PBE.

Geometry as CIF:
```
data_Ba3Zr2S7
_chemical_formula_sum 'Ba6 Zr4 S14'
_cell_length_a 13.399
_cell_length_b 13.399
_cell_length_c 7.122
_cell_angle_alpha 90.00
_cell_angle_beta 90.00
_cell_angle_gamma 149.05
_space_group_name_H-M_alt 'P 1'
_space_group_IT_number 1
_space_group_name_Hall 'P 1'
loop_
_atom_site_label
_atom_site_fract_x
_atom_site_fract_y
_atom_site_fract_z
Ba1 0.000 0.500 0.000
S1 0.349 0.651 0.250
Ba2 0.306 0.168 0.500
S2 0.349 0.651 0.750
Zr1 0.899 0.600 0.500
S3 0.285 0.182 0.000
S4 0.651 0.349 0.750
Ba3 0.832 0.694 0.000
S5 0.000 0.500 0.500
Zr2 0.101 0.400 0.500
Zr3 0.400 0.101 0.000
S6 0.156 0.844 0.250
S7 0.182 0.285 0.500
Zr4 0.600 0.899 0.000
Ba4 0.694 0.832 0.500
S8 0.500 0.000 0.000
Ba5 0.168 0.306 0.000
S9 0.651 0.349 0.250
S10 0.818 0.715 0.500
Ba6 0.500 0.000 0.500
S11 0.715 0.818 0.000
S12 0.844 0.156 0.250
S13 0.844 0.156 0.750
S14 0.156 0.844 0.750
```

Output
- E above lowest polymorph (meV per atom) = 17
- formation energy (meV per atom) = -2132.9
- V (Å³ per cell) = 657.5
- final energy (eV/atom) = -6.157